This record from the Materials Project describes a relaxed structure of DyCdAu. The functional is PBE.

## Properties
ΔH_f (0 K): -1.97 eV/f.u.
Symmetry: P-62m (189)
Calculated volume: 207.04 Å³ per cell

```
9
Lattice="7.8816 0.0000 0.0000 -3.9408 6.8257 0.0000 0.0000 0.0000 3.8485" Properties=species:S:1:pos:R:3 pbc="T T T"
Dy -2.3366 4.0471 0.0000
Dy 1.6042 2.7786 0.0000
Dy 4.6732 0.0000 0.0000
Cd -1.0376 1.7972 1.9242
Cd 2.0752 0.0000 1.9242
Cd 2.9032 5.0286 1.9242
Au 0.0000 0.0000 0.0000
Au 0.0000 4.5505 1.9242
Au 3.9408 2.2752 1.9242
```

=====

This record from the Materials Project describes a relaxed structure of Sc3OsC4. The functional is PBE.

## Properties
ΔH_f (0 K): -3.50 eV/f.u.
Symmetry: C2/m (12)
Calculated volume: 186.86 Å³ per cell

```
16
Lattice="6.4276 -2.2420 0.0000 6.4276 2.2420 0.0000 -1.7583 0.0000 6.4833" Properties=species:S:1:pos:R:3 pbc="T T T"
Sc 0.0000 0.0000 0.0000
Sc -0.8792 0.0000 3.2417
Sc 3.2527 0.0000 2.6172
Sc 2.3989 0.0000 5.8712
Sc 8.6980 0.0000 0.6121
Sc 7.8442 0.0000 3.8661
Os 5.9599 0.0000 1.7104
Os 5.1370 0.0000 4.7729
C 4.4502 1.5229 1.2108
C 3.5857 1.5209 4.4430
C 7.5113 1.5209 2.0403
C 6.6467 1.5229 5.2726
C 4.4502 -1.5229 1.2108
C 3.5857 -1.5209 4.4430
C 7.5113 -1.5209 2.0403
C 6.6467 -1.5229 5.2726
```

=====

This record from the Materials Project describes a relaxed structure of RbAuCl3. The functional is PBE.

## Properties
ΔH_f (0 K): -6.61 eV/f.u.
Symmetry: Pm-3m (221)
Calculated volume: 137.67 Å³ per cell

```
5
Lattice="5.1635 0.0000 0.0000 0.0000 5.1635 0.0000 0.0000 0.0000 5.1635" Properties=species:S:1:pos:R:3 pbc="T T T"
Rb 0.0000 0.0000 0.0000
Au 2.5818 2.5818 2.5818
Cl 0.0000 2.5818 2.5818
Cl 2.5818 0.0000 2.5818
Cl 2.5818 2.5818 0.0000
```

=====

This record from the Materials Project describes a relaxed structure of MgTa3. The functional is PBE.

## Properties
ΔH_f (0 K): 1.19 eV/f.u.
Symmetry: P6_3/mmc (194)
Calculated volume: 148.40 Å³ per cell
ΔE to the lowest computed polymorph: 0 meV/atom

```
8
Lattice="5.9517 0.0000 0.0000 -2.9758 5.1543 0.0000 0.0000 0.0000 4.8374" Properties=species:S:1:pos:R:3 pbc="T T T"
Mg 0.0000 3.4362 1.2093
Mg 2.9758 1.7181 3.6280
Ta 0.0000 1.6739 3.6280
Ta -1.5262 4.3173 3.6280
Ta 1.4497 0.8370 1.2093
Ta 1.5262 4.3173 3.6280
Ta 4.5020 0.8370 1.2093
Ta 2.9758 3.4804 1.2093
```

=====

This record from the Materials Project describes a relaxed structure of Ho7InCo4Ge12. The functional is PBE.

## Properties
ΔH_f (0 K): -16.17 eV/f.u.
Symmetry: P4/m (83)
Calculated volume: 450.06 Å³ per cell

```
24
Lattice="10.3806 0.0000 0.0000 0.0000 10.3806 0.0000 0.0000 0.0000 4.1766" Properties=species:S:1:pos:R:3 pbc="T T T"
Ho 0.0000 0.0000 0.0000
Ho 0.0000 5.1903 2.0883
Ho 3.3462 7.0049 2.0883
Ho 3.3757 3.3462 2.0883
Ho 5.1903 0.0000 2.0883
Ho 7.0049 7.0344 2.0883
Ho 7.0344 3.3757 2.0883
In 5.1903 5.1903 0.0000
Co 1.2218 2.8914 0.0000
Co 2.8914 9.1589 0.0000
Co 7.4893 1.2218 0.0000
Co 9.1589 7.4893 0.0000
Ge 0.6785 2.0179 2.0883
Ge 1.1706 7.4214 0.0000
Ge 2.0179 9.7021 2.0883
Ge 2.2030 5.0495 0.0000
Ge 2.9593 1.1706 0.0000
Ge 5.0495 8.1776 0.0000
Ge 5.3312 2.2030 0.0000
Ge 7.4214 9.2100 0.0000
Ge 8.1776 5.3312 0.0000
Ge 8.3627 0.6785 2.0883
Ge 9.2100 2.9593 0.0000
Ge 9.7021 8.3627 2.0883
```

=====

This record from the Materials Project describes a relaxed structure of Nd2Ge3Ir3. The functional is PBE.

## Properties
ΔH_f (0 K): 5.53 eV/f.u.
Symmetry: P4/mmm (123)
Calculated volume: 172.36 Å³ per cell

```
8
Lattice="2.8510 0.0000 0.0000 0.0000 2.8510 0.0000 0.0000 0.0000 21.2059" Properties=species:S:1:pos:R:3 pbc="T T T"
Nd 0.0000 0.0000 5.0894
Nd 0.0000 0.0000 16.1166
Ge 0.0000 0.0000 0.0000
Ge 0.0000 0.0000 8.2233
Ge 0.0000 0.0000 12.9826
Ir 0.0000 0.0000 2.4067
Ir 0.0000 0.0000 10.6030
Ir 0.0000 0.0000 18.7992
```

=====

This record from the Materials Project describes a relaxed structure of K2HgCl4O. The functional is PBE.

## Properties
ΔH_f (0 K): -8.02 eV/f.u.
Symmetry: Pbam (55)
Calculated volume: 842.58 Å³ per cell

```
32
Lattice="8.0186 0.0000 0.0000 0.0000 12.4577 0.0000 0.0000 0.0000 8.4348" Properties=species:S:1:pos:R:3 pbc="T T T"
K 0.7274 2.0624 0.0000
K 0.7478 2.1504 4.2174
K 3.2615 8.3793 4.2174
K 3.2819 8.2912 0.0000
K 4.7367 4.1665 0.0000
K 4.7571 4.0784 4.2174
K 7.2708 10.3073 4.2174
K 7.2912 10.3954 0.0000
Hg 0.0000 6.2289 2.0696
Hg 0.0000 6.2289 6.3652
Hg 4.0093 0.0000 2.0696
Hg 4.0093 0.0000 6.3652
Cl 0.8490 8.5313 2.1135
Cl 0.8490 8.5313 6.3214
Cl 1.8727 5.4815 0.0000
Cl 1.9839 5.5475 4.2174
Cl 2.0254 11.7763 4.2174
Cl 2.1366 11.7104 0.0000
Cl 3.1603 2.3025 2.1135
Cl 3.1603 2.3025 6.3214
Cl 4.8583 10.1553 2.1135
Cl 4.8583 10.1553 6.3214
Cl 5.8820 0.7474 0.0000
Cl 5.9932 0.6814 4.2174
Cl 6.0347 6.9103 4.2174
Cl 6.1459 6.9762 0.0000
Cl 7.1696 3.9264 2.1135
Cl 7.1696 3.9264 6.3214
O 0.0000 0.0000 2.2608
O 0.0000 0.0000 6.1740
O 4.0093 6.2289 2.2608
O 4.0093 6.2289 6.1740
```

=====

This record from the Materials Project describes a relaxed structure of HoMg3. The functional is PBE.

## Properties
ΔH_f (0 K): -0.26 eV/f.u.
Symmetry: Fm-3m (225)
Calculated volume: 97.52 Å³ per cell

```
4
Lattice="0.0000 3.6533 3.6533 3.6533 0.0000 3.6533 3.6533 3.6533 0.0000" Properties=species:S:1:pos:R:3 pbc="T T T"
Ho 0.0000 0.0000 0.0000
Mg 1.8266 1.8266 1.8266
Mg 3.6533 3.6533 3.6533
Mg 5.4799 5.4799 5.4799
```